Record 1
VASP calculation (r2SCAN) on an optimized crystal structure of ThBr4.

energy	-27.2876	eV/atom
E_form	-1985	meV per atom
space-group type	No. 141

abc: 7.541 7.541 7.541
angles: 106.83 106.83 114.90
Fractional positions:
Br (0.801, 0.737, 0.436)
Br (0.635, 0.199, 0.436)
Br (0.737, 0.801, 0.936)
Br (0.801, 0.365, 0.064)
Br (0.199, 0.635, 0.936)
Br (0.199, 0.263, 0.564)
Br (0.365, 0.801, 0.564)
Br (0.263, 0.199, 0.064)
Th (0.125, 0.875, 0.250)
Th (0.875, 0.125, 0.750)

=====

Record 2
VASP calculation (r2SCAN) on an optimized crystal structure of Zr2CN.

energy	-17.6957	eV/atom
E_form	-1552	meV per atom
space-group type	No. 166

abc: 5.699 5.699 5.699
angles: 33.56 33.56 33.56
Fractional positions:
Zr (0.251, 0.251, 0.251)
Zr (0.749, 0.749, 0.749)
N (0.500, 0.500, 0.500)
C (0.000, 0.000, 0.000)

=====

Record 3
VASP calculation (r2SCAN) on an optimized crystal structure of TmCd3.

energy	-24.1467	eV/atom
E_form	-288	meV per atom
space-group type	No. 63

abc: 4.809 6.396 6.396
angles: 112.56 90.00 90.00
Fractional positions:
Cd (0.750, 0.823, 0.177)
Cd (0.750, 0.311, 0.119)
Cd (0.250, 0.177, 0.823)
Cd (0.750, 0.881, 0.689)
Cd (0.250, 0.119, 0.311)
Cd (0.250, 0.689, 0.881)
Tm (0.750, 0.368, 0.632)
Tm (0.250, 0.632, 0.368)

=====

Record 4
VASP calculation (r2SCAN) on an optimized crystal structure of NpSb.

E above lowest polymorph	93	meV per atom
energy	-55.0924	eV/atom
E_form	-727	meV per atom

abc: 3.477 5.644 5.644
angles: 90.00 90.00 90.00
Fractional positions:
Sb (0.500, 0.500, 0.000)
Sb (0.500, 0.000, 0.500)
Np (0.000, 0.000, 0.000)
Np (0.000, 0.500, 0.500)

=====

Record 5
VASP calculation (r2SCAN) on an optimized crystal structure of Cs2HfBr6.

energy	-21.3645	eV/atom
E_form	-1929	meV per atom
space-group type	No. 225

abc: 7.753 7.753 7.753
angles: 60.00 60.00 60.00
Fractional positions:
Br (0.238, 0.762, 0.238)
Br (0.762, 0.238, 0.238)
Br (0.762, 0.762, 0.238)
Br (0.762, 0.238, 0.762)
Br (0.238, 0.238, 0.762)
Br (0.238, 0.762, 0.762)
Hf (0.000, 0.000, 0.000)
Cs (0.250, 0.250, 0.250)
Cs (0.750, 0.750, 0.750)

=====

Record 6
VASP calculation (r2SCAN) on an optimized crystal structure of VRh3.

energy	-22.0405	eV/atom
E_form	-416	meV per atom
space-group type	No. 194

abc: 5.389 5.389 4.286
angles: 90.00 90.00 120.00
Fractional positions:
V (0.667, 0.333, 0.250)
V (0.333, 0.667, 0.750)
Rh (0.334, 0.167, 0.750)
Rh (0.167, 0.334, 0.250)
Rh (0.666, 0.833, 0.250)
Rh (0.833, 0.666, 0.750)
Rh (0.833, 0.167, 0.750)
Rh (0.167, 0.833, 0.250)

=====

Record 7
VASP calculation (r2SCAN) on an optimized crystal structure of SrCd11.

energy	-19.8495	eV/atom
E_form	-158	meV per atom
space-group type	No. 141

abc: 7.705 9.328 9.328
angles: 80.18 65.60 65.60
Fractional positions:
Cd (0.720, 0.834, 0.575)
Cd (0.554, 0.166, 0.075)
Cd (0.720, 0.075, 0.334)
Cd (0.125, 0.750, 0.250)
Cd (0.204, 0.666, 0.575)
Cd (0.204, 0.075, 0.166)
Cd (0.129, 0.425, 0.166)
Cd (0.871, 0.334, 0.075)
Cd (0.000, 0.000, 0.500)
Cd (0.280, 0.166, 0.425)
Cd (0.554, 0.575, 0.666)
Cd (0.129, 0.666, 0.925)
Cd (0.446, 0.425, 0.334)
Cd (0.446, 0.834, 0.925)
Cd (0.871, 0.575, 0.834)
Cd (0.000, 0.500, 0.500)
Cd (0.500, 0.500, 0.000)
Cd (0.000, 0.000, 0.000)
Cd (0.280, 0.925, 0.666)
Cd (0.796, 0.334, 0.425)
Cd (0.875, 0.250, 0.750)
Cd (0.796, 0.925, 0.834)
Sr (0.375, 0.250, 0.750)
Sr (0.625, 0.750, 0.250)

=====

Record 8
VASP calculation (r2SCAN) on an optimized crystal structure of NdSi2Au2.

energy	-30.2918	eV/atom
E_form	-665	meV per atom
space-group type	No. 139

abc: 4.324 4.324 5.935
angles: 111.37 111.37 90.00
Fractional positions:
Au (0.250, 0.750, 0.500)
Au (0.750, 0.250, 0.500)
Si (0.385, 0.385, 0.771)
Si (0.615, 0.615, 0.229)
Nd (0.000, 0.000, 0.000)

=====

Record 9
VASP calculation (r2SCAN) on an optimized crystal structure of Na5W7O21.

energy	-17.5521	eV/atom
E_form	-2315	meV per atom
space-group type	No. 12

abc: 11.580 11.580 6.684
angles: 78.91 78.91 27.27
Fractional positions:
W (0.857, 0.857, 0.928)
W (0.715, 0.715, 0.360)
W (0.285, 0.285, 0.640)
W (0.572, 0.572, 0.784)
W (0.000, 0.000, 0.500)
W (0.428, 0.428, 0.216)
W (0.143, 0.143, 0.072)
Na (0.000, 0.000, 0.000)
Na (0.715, 0.715, 0.853)
Na (0.573, 0.573, 0.288)
Na (0.285, 0.285, 0.147)
Na (0.427, 0.427, 0.712)
O (0.643, 0.643, 0.572)
O (0.568, 0.073, 0.789)
O (0.713, 0.218, 0.356)
O (0.218, 0.713, 0.356)
O (0.854, 0.359, 0.933)
O (0.500, 0.000, 0.500)
O (0.785, 0.785, 0.140)
O (0.929, 0.929, 0.716)
O (0.432, 0.927, 0.211)
O (0.287, 0.782, 0.644)
O (0.071, 0.071, 0.284)
O (0.215, 0.215, 0.860)
O (0.000, 0.500, 0.500)
O (0.500, 0.500, 0.000)
O (0.146, 0.641, 0.067)
O (0.927, 0.432, 0.211)
O (0.782, 0.287, 0.644)
O (0.357, 0.357, 0.428)
O (0.073, 0.568, 0.789)
O (0.641, 0.146, 0.067)
O (0.359, 0.854, 0.933)

=====

Record 10
VASP calculation (r2SCAN) on an optimized crystal structure of Y2ZnGeO6.

energy	-12.5075	eV/atom
E_form	-2583	meV per atom
space-group type	No. 225

abc: 5.381 5.381 5.381
angles: 60.00 60.00 60.00
Fractional positions:
O (0.741, 0.259, 0.259)
O (0.741, 0.259, 0.741)
O (0.259, 0.741, 0.741)
O (0.259, 0.259, 0.741)
O (0.741, 0.741, 0.259)
O (0.259, 0.741, 0.259)
Zn (0.000, 0.000, 0.000)
Y (0.750, 0.750, 0.750)
Y (0.250, 0.250, 0.250)
Ge (0.500, 0.500, 0.500)

=====

Record 11
VASP calculation (r2SCAN) on an optimized crystal structure of Nd2Zr3Mo9O36.

energy	-14.1709	eV/atom
E_form	-2636	meV per atom
space-group type	No. 167

abc: 20.420 20.420 20.420
angles: 27.91 27.91 27.91
Fractional positions:
O (0.396, 0.685, 0.361)
O (0.435, 0.303, 0.082)
O (0.074, 0.758, 0.816)
O (0.277, 0.564, 0.070)
O (0.258, 0.574, 0.316)
O (0.684, 0.742, 0.426)
O (0.742, 0.426, 0.684)
O (0.582, 0.803, 0.935)
O (0.082, 0.435, 0.303)
O (0.722, 0.082, 0.962)
O (0.343, 0.158, 0.505)
O (0.303, 0.082, 0.435)
O (0.842, 0.495, 0.657)
O (0.658, 0.843, 0.005)
O (0.436, 0.930, 0.723)
O (0.930, 0.723, 0.436)
O (0.065, 0.418, 0.197)
O (0.639, 0.604, 0.315)
O (0.157, 0.995, 0.342)
O (0.538, 0.418, 0.778)
O (0.139, 0.815, 0.104)
O (0.723, 0.436, 0.930)
O (0.184, 0.926, 0.242)
O (0.936, 0.223, 0.430)
O (0.185, 0.896, 0.861)
O (0.803, 0.935, 0.582)
O (0.565, 0.697, 0.918)
O (0.582, 0.222, 0.462)
O (0.070, 0.277, 0.564)
O (0.816, 0.074, 0.758)
O (0.657, 0.842, 0.495)
O (0.758, 0.816, 0.074)
O (0.926, 0.242, 0.184)
O (0.418, 0.197, 0.065)
O (0.158, 0.505, 0.343)
O (0.564, 0.070, 0.277)
O (0.038, 0.278, 0.918)
O (0.685, 0.361, 0.396)
O (0.574, 0.316, 0.258)
O (0.995, 0.342, 0.157)
O (0.064, 0.777, 0.570)
O (0.778, 0.538, 0.418)
O (0.278, 0.918, 0.038)
O (0.918, 0.565, 0.697)
O (0.861, 0.185, 0.896)
O (0.896, 0.861, 0.185)
O (0.843, 0.005, 0.658)
O (0.962, 0.722, 0.082)
O (0.222, 0.462, 0.582)
O (0.570, 0.064, 0.777)
O (0.223, 0.430, 0.936)
O (0.426, 0.684, 0.742)
O (0.005, 0.658, 0.843)
O (0.361, 0.396, 0.685)
O (0.604, 0.315, 0.639)
O (0.197, 0.065, 0.418)
O (0.430, 0.936, 0.223)
O (0.935, 0.582, 0.803)
O (0.315, 0.639, 0.604)
O (0.815, 0.104, 0.139)
O (0.505, 0.343, 0.158)
O (0.342, 0.157, 0.995)
O (0.697, 0.918, 0.565)
O (0.918, 0.038, 0.278)
O (0.082, 0.962, 0.722)
O (0.104, 0.139, 0.815)
O (0.495, 0.657, 0.842)
O (0.242, 0.184, 0.926)
O (0.462, 0.582, 0.222)
O (0.316, 0.258, 0.574)
O (0.777, 0.570, 0.064)
O (0.418, 0.778, 0.538)
Zr (0.095, 0.095, 0.095)
Zr (0.595, 0.595, 0.595)
Zr (0.500, 0.500, 0.500)
Zr (0.000, 0.000, 0.000)
Zr (0.405, 0.405, 0.405)
Zr (0.905, 0.905, 0.905)
Mo (0.653, 0.301, 0.120)
Mo (0.620, 0.801, 0.153)
Mo (0.880, 0.347, 0.699)
Mo (0.029, 0.471, 0.750)
Mo (0.250, 0.971, 0.529)
Mo (0.529, 0.250, 0.971)
Mo (0.347, 0.699, 0.880)
Mo (0.971, 0.529, 0.250)
Mo (0.750, 0.029, 0.471)
Mo (0.380, 0.199, 0.847)
Mo (0.847, 0.380, 0.199)
Mo (0.153, 0.620, 0.801)
Mo (0.699, 0.880, 0.347)
Mo (0.199, 0.847, 0.380)
Mo (0.471, 0.750, 0.029)
Mo (0.801, 0.153, 0.620)
Mo (0.301, 0.120, 0.653)
Mo (0.120, 0.653, 0.301)
Nd (0.696, 0.696, 0.696)
Nd (0.804, 0.804, 0.804)
Nd (0.304, 0.304, 0.304)
Nd (0.196, 0.196, 0.196)

=====

Record 12
VASP calculation (r2SCAN) on an optimized crystal structure of YbCeCd2.

energy	-27.1645	eV/atom
E_form	-269	meV per atom
space-group type	No. 225

abc: 5.318 5.318 5.318
angles: 60.00 60.00 60.00
Fractional positions:
Yb (0.000, 0.000, 0.000)
Cd (0.250, 0.250, 0.250)
Cd (0.750, 0.750, 0.750)
Ce (0.500, 0.500, 0.500)

=====

> Which of these has the lowest energy?

NpSb